# 1
Compound: Na15Mg10Nb2P9S9O72
Source: the Materials Project
Functional: GGA-PBE
Structure: optimized geometry

E_tot ... -6.41 eV/atom
Corrected total energy (MP2020 scheme) ... -6.83 eV/atom
ΔH_f (0 K) ... -2570 meV/atom
Calculated density ... 2719 kg/m³

a = 8.8774 Å, b = 8.8995 Å, c = 22.2353 Å
α = 90.18°, β = 90.01°, γ = 119.91°
Positions (direct):
Na 0.0000 0.0000 0.0000
Na 0.0029 0.3681 0.5039
Na 0.0082 0.6944 0.4118
Na 0.0249 0.6985 0.9115
Na 0.0633 0.3964 0.8281
Na 0.0659 0.0255 0.3279
Na 0.3271 0.0336 0.8259
Na 0.3341 0.6709 0.3276
Na 0.3660 0.0002 0.5010
Na 0.3701 0.3642 0.7422
Na 0.3737 0.3550 0.2432
Na 0.6743 0.6893 0.1641
Na 0.6884 0.0322 0.0805
Na 0.6974 0.0199 0.5811
Na 0.7323 0.3678 0.0015
Mg 0.0266 0.6995 0.7632
Mg 0.0299 0.6993 0.2626
Mg 0.0323 0.6994 0.5709
Mg 0.0374 0.6982 0.0714
Mg 0.3602 0.3612 0.1035
Mg 0.3643 0.3611 0.6034
Mg 0.3701 0.3672 0.8950
Mg 0.3838 0.3716 0.3943
Mg 0.6965 0.0243 0.4308
Mg 0.7000 0.0300 0.9302
Nb 0.6895 0.0305 0.2263
Nb 0.7064 0.0439 0.7261
P 0.0377 0.9965 0.1657
P 0.0438 0.4139 0.6653
P 0.3182 0.6898 0.1669
P 0.3231 0.9941 0.6656
P 0.4022 0.0319 0.3354
P 0.7016 0.3306 0.8349
P 0.7022 0.7382 0.3325
P 0.7401 0.4084 0.1632
P 0.9921 0.0274 0.8348
S 0.0719 0.0718 0.4972
S 0.0748 0.3690 0.9971
S 0.3654 0.0701 0.9973
S 0.3670 0.6579 0.4979
S 0.4089 0.7396 0.8324
S 0.6583 0.6602 0.9989
S 0.6623 0.3686 0.4989
S 0.7376 0.6971 0.6651
S 0.9906 0.3265 0.3345
O 0.0019 0.4805 0.6079
O 0.0137 0.5009 0.3272
O 0.0208 0.8731 0.8259
O 0.0492 0.5216 0.0020
O 0.0547 0.5126 0.7227
O 0.0548 0.8973 0.5037
O 0.0557 0.9121 0.2228
O 0.1589 0.1846 0.5498
O 0.1623 0.3444 0.0491
O 0.1645 0.3384 0.3372
O 0.1700 0.1999 0.8346
O 0.1715 0.3859 0.9405
O 0.1766 0.1501 0.4416
O 0.1890 0.1786 0.1584
O 0.1955 0.3811 0.6598
O 0.2061 0.8973 0.0036
O 0.2067 0.6760 0.5023
O 0.2197 0.9081 0.7224
O 0.2231 0.6718 0.2256
O 0.2243 0.8655 0.3270
O 0.2332 0.7219 0.8265
O 0.2449 0.7287 0.1114
O 0.2524 0.8871 0.6076
O 0.3394 0.1484 0.9415
O 0.3423 0.5548 0.4420
O 0.3600 0.1801 0.6602
O 0.3644 0.5462 0.1603
O 0.3801 0.1921 0.3353
O 0.3859 0.5704 0.5508
O 0.3879 0.5644 0.8367
O 0.3933 0.1842 0.0495
O 0.4874 0.0077 0.3916
O 0.4899 0.8488 0.8856
O 0.5124 0.8643 0.1732
O 0.5131 0.0089 0.6749
O 0.5156 0.8245 0.7777
O 0.5204 0.8369 0.4941
O 0.5244 0.0509 0.2797
O 0.5247 0.0538 0.9921
O 0.5292 0.5653 0.3349
O 0.5310 0.3348 0.8355
O 0.5520 0.3412 0.5519
O 0.5563 0.3825 0.1577
O 0.5613 0.5488 0.6584
O 0.5609 0.5807 0.0544
O 0.5719 0.5493 0.9457
O 0.5818 0.3885 0.4437
O 0.6771 0.2029 0.7792
O 0.6786 0.8350 0.2752
O 0.6821 0.2089 0.4944
O 0.6818 0.8380 0.9935
O 0.7194 0.2213 0.1747
O 0.7188 0.8591 0.6726
O 0.7281 0.2450 0.8907
O 0.7349 0.8586 0.3861
O 0.8175 0.6756 0.7196
O 0.8290 0.5246 0.2170
O 0.8372 0.6789 0.0015
O 0.8405 0.5221 0.5044
O 0.8425 0.4725 0.1042
O 0.8446 0.7321 0.6111
O 0.8633 0.7202 0.3243
O 0.8640 0.0122 0.1747
O 0.8664 0.5047 0.8251
O 0.8698 0.2198 0.6738
O 0.8884 0.0055 0.8921
O 0.8884 0.0491 0.7800
O 0.8894 0.2475 0.3895
O 0.8959 0.2077 0.9945
O 0.8976 0.0589 0.4926
O 0.9018 0.2114 0.2811
O 0.9890 0.8798 0.1090



# 2
Compound: PmCdHg2
Source: the Materials Project
Functional: GGA-PBE
Structure: optimized geometry

E_tot ... -1.98 eV/atom
ΔH_f (0 K) ... -410 meV/atom
Calculated density ... 11125 kg/m³

a = 5.1804 Å, b = 5.1804 Å, c = 5.1804 Å
α = 60.00°, β = 60.00°, γ = 60.00°
Positions (direct):
Pm 0.0000 0.0000 0.0000
Cd 0.5000 0.5000 0.5000
Hg 0.2500 0.2500 0.2500
Hg 0.7500 0.7500 0.7500



# 3
Compound: Sn2SbS2I3
Source: the Materials Project
Functional: GGA-PBE
Structure: optimized geometry

Offset from the most stable computed form ... 0 meV/atom
E_tot ... -3.49 eV/atom
Corrected total energy (MP2020 scheme) ... -3.75 eV/atom
ΔH_f (0 K) ... -630 meV/atom
Calculated density ... 4731 kg/m³

a = 7.7762 Å, b = 7.7762 Å, c = 17.4613 Å
α = 90.00°, β = 90.00°, γ = 147.69°
Positions (direct):
Sn 0.1293 0.8707 0.5000
Sn 0.1402 0.8598 0.9697
Sn 0.8598 0.1402 0.4697
Sn 0.8707 0.1293 0.0000
Sb 0.2096 0.7904 0.2035
Sb 0.7904 0.2096 0.7035
S 0.2707 0.7293 0.4150
S 0.2725 0.7275 0.0746
S 0.7275 0.2725 0.5746
S 0.7293 0.2707 0.9150
I 0.1545 0.8455 0.7445
I 0.4264 0.5736 0.6439
I 0.4430 0.5570 0.8833
I 0.5570 0.4430 0.3833
I 0.5736 0.4264 0.1439
I 0.8455 0.1545 0.2445



# 4
Compound: Cu11S16
Source: the Materials Project
Functional: GGA-PBE
Structure: optimized geometry

E_tot ... -4.02 eV/atom
Corrected total energy (MP2020 scheme) ... -4.32 eV/atom
ΔH_f (0 K) ... -201 meV/atom
Calculated density ... 4116 kg/m³

a = 5.9424 Å, b = 5.9424 Å, c = 23.3419 Å
α = 98.96°, β = 98.96°, γ = 36.97°
Positions (direct):
Cu 0.0000 0.0000 0.0000
Cu 0.9995 0.9995 0.2566
Cu 0.2373 0.2373 0.1831
Cu 0.2439 0.2439 0.9199
Cu 0.4645 0.4645 0.3576
Cu 0.4729 0.4729 0.8632
Cu 0.4741 0.4741 0.1094
Cu 0.5017 0.5017 0.6281
Cu 0.7444 0.7444 0.5482
Cu 0.9635 0.9635 0.7307
Cu 0.9748 0.9748 0.4904
S 0.0277 0.0277 0.1627
S 0.0286 0.0286 0.4019
S 0.0405 0.0405 0.9079
S 0.0928 0.0928 0.6654
S 0.2755 0.2755 0.0941
S 0.2772 0.2772 0.3927
S 0.2785 0.2785 0.8154
S 0.3028 0.3028 0.5955
S 0.5288 0.5288 0.7752
S 0.5402 0.5402 0.5348
S 0.5978 0.5978 0.2931
S 0.5985 0.5985 0.0432
S 0.7768 0.7768 0.7653
S 0.7790 0.7790 0.4422
S 0.7966 0.7966 0.2352
S 0.8028 0.8028 0.9663



# 5
Compound: Ba2MnSe3
Source: the Materials Project
Functional: GGA-PBE
Structure: optimized geometry

E_tot ... -5.45 eV/atom
Corrected total energy (MP2020 scheme) ... -5.69 eV/atom
ΔH_f (0 K) ... -1773 meV/atom
Calculated density ... 5021 kg/m³

a = 9.2474 Å, b = 4.5244 Å, c = 17.9089 Å
α = 90.00°, β = 90.00°, γ = 90.00°
Positions (direct):
Ba 0.0832 0.2500 0.2141
Ba 0.2467 0.2500 0.9577
Ba 0.2533 0.7500 0.4577
Ba 0.4168 0.7500 0.7141
Ba 0.5832 0.2500 0.2859
Ba 0.7467 0.2500 0.5423
Ba 0.7533 0.7500 0.0423
Ba 0.9168 0.7500 0.7859
Mn 0.1295 0.2500 0.6341
Mn 0.3705 0.7500 0.1341
Mn 0.6295 0.2500 0.8659
Mn 0.8705 0.7500 0.3659
Se 0.0028 0.7500 0.6008
Se 0.1265 0.7500 0.0724
Se 0.1798 0.2500 0.7726
Se 0.3202 0.7500 0.2726
Se 0.3735 0.2500 0.5724
Se 0.4972 0.2500 0.1008
Se 0.5028 0.7500 0.8992
Se 0.6265 0.7500 0.4276
Se 0.6798 0.2500 0.7274
Se 0.8202 0.7500 0.2274
Se 0.8735 0.2500 0.9276
Se 0.9972 0.2500 0.3992



# 6
Compound: RbNd2CuS4
Source: the Materials Project
Functional: GGA-PBE
Structure: optimized geometry

E_tot ... -5.52 eV/atom
Corrected total energy (MP2020 scheme) ... -5.77 eV/atom
ΔH_f (0 K) ... -1872 meV/atom
Calculated density ... 4599 kg/m³

a = 7.3736 Å, b = 7.3736 Å, c = 14.0818 Å
α = 90.00°, β = 90.00°, γ = 147.75°
Positions (direct):
Rb 0.1059 0.8941 0.7500
Rb 0.8941 0.1059 0.2500
Nd 0.3655 0.6345 0.5615
Nd 0.3655 0.6345 0.9385
Nd 0.6345 0.3655 0.0615
Nd 0.6345 0.3655 0.4385
Cu 0.1646 0.8354 0.2500
Cu 0.8354 0.1646 0.7500
S 0.0000 0.0000 0.0000
S 0.0000 0.0000 0.5000
S 0.2600 0.7400 0.1128
S 0.2600 0.7400 0.3872
S 0.4242 0.5758 0.7500
S 0.5758 0.4242 0.2500
S 0.7400 0.2600 0.6128
S 0.7400 0.2600 0.8872



# 7
Compound: UZn3
Source: the Materials Project
Functional: GGA-PBE
Structure: optimized geometry

E_tot ... -3.62 eV/atom
ΔH_f (0 K) ... 148 meV/atom
Calculated density ... 9493 kg/m³

a = 6.3237 Å, b = 6.3237 Å, c = 4.3870 Å
α = 90.00°, β = 90.00°, γ = 120.00°
Positions (direct):
U 0.3333 0.6667 0.2500
U 0.6667 0.3333 0.7500
Zn 0.1501 0.3003 0.7500
Zn 0.1501 0.8499 0.7500
Zn 0.3003 0.1501 0.2500
Zn 0.6997 0.8499 0.7500
Zn 0.8499 0.1501 0.2500
Zn 0.8499 0.6997 0.2500



# 8
Compound: Ge3Os
Source: the Materials Project
Functional: GGA-PBE
Structure: optimized geometry

E_tot ... -5.82 eV/atom
ΔH_f (0 K) ... 455 meV/atom
Calculated density ... 10399 kg/m³

a = 4.5171 Å, b = 4.5171 Å, c = 4.5171 Å
α = 60.00°, β = 60.00°, γ = 60.00°
Positions (direct):
Ge 0.0000 0.0000 0.0000
Ge 0.2500 0.2500 0.2500
Ge 0.7500 0.7500 0.7500
Os 0.5000 0.5000 0.5000